Computed, not measured: a relaxed KAg2 crystal at the r²SCAN level of DFT.

Cell lengths 5.8373, 5.8373, 9.7922 Å; angles 90.00, 90.00, 120.00 degrees
Closest atoms and distances in Å follow each position.
Atoms (fractional coordinates):
K (0.3333, 0.6667, 0.0618)  12 Ag 3.42-3.49, 4 K 3.58-3.69
K (0.3333, 0.6667, 0.4382)  12 Ag 3.42-3.49, 4 K 3.58-3.69
K (0.6667, 0.3333, 0.5618)  12 Ag 3.42-3.49, 4 K 3.58-3.69
K (0.6667, 0.3333, 0.9382)  12 Ag 3.42-3.49, 4 K 3.58-3.69
Ag (0.0000, 0.0000, 0.0000)  6 Ag 2.97
Ag (0.0000, 0.0000, 0.5000)  6 Ag 2.97
Ag (0.1657, 0.3314, 0.7500)  6 Ag 2.90-2.97
Ag (0.1657, 0.8343, 0.7500)  6 Ag 2.90-2.97
Ag (0.3314, 0.1657, 0.2500)  6 Ag 2.90-2.97
Ag (0.6686, 0.8343, 0.7500)  6 Ag 2.90-2.97
Ag (0.8343, 0.1657, 0.2500)  6 Ag 2.90-2.97
Ag (0.8343, 0.6686, 0.2500)  6 Ag 2.90-2.97

Summary:
space group: P6_3/mmc (194)
DFT total energy: -194.80 eV for the cell shown